# TaTiTe4 PBE-GGA optimized geometry
# magnetic moment = 0.01 μB per formula unit
# formation energy from the elements = -76.29 kJ per mole of atoms
data_TaTiTe4
_chemical_formula_sum 'Ta1 Ti1 Te4'
_space_group_name_H-M_alt 'P 1'
_space_group_IT_number 1
_space_group_name_Hall 'P 1'
_cell_length_a 3.736
_cell_length_b 3.736
_cell_length_c 14.133
_cell_angle_alpha 90.00
_cell_angle_beta 90.00
_cell_angle_gamma 120.00
loop_
_atom_site_label
_atom_site_fract_x
_atom_site_fract_y
_atom_site_fract_z
_atom_site_occupancy
Ta1 0.000 0.000 0.000 1
Ti1 0.000 0.000 0.500 1
Te1 0.333 0.667 0.128 1
Te2 0.333 0.667 0.623 1
Te3 0.667 0.333 0.377 1
Te4 0.667 0.333 0.872 1